Entry 1:
First-principles (GGA-PBE) data for an optimized crystal structure of ZnSiAsP, as listed in the Materials Project.

Properties
**Magnetic moment**: 0.000 μB/atom
**Volume**: 20.68 Å³ per atom
**ΔH_f (0 K)**: -0.245 eV/atom
**E_tot**: -4.434 eV/atom

Structure (extended XYZ):
```
8
Lattice="5.555 0.000 0.000 0.000 5.525 0.000 2.778 2.763 5.390" Properties=species:S:1:pos:R:3 pbc="T T T"
Zn 5.555 2.763 2.636
Zn 5.555 5.525 0.059
Si 2.778 5.525 2.636
Si 2.778 2.763 0.059
As 4.166 6.837 4.042
As 6.944 4.214 4.042
P 1.495 1.381 1.347
P 4.060 4.144 1.347
```


Entry 2:
First-principles (GGA-PBE) data for an optimized crystal structure of CeRh3C, as listed in the Materials Project.

Properties
**Magnetic moment**: 0.159 μB/atom
**Volume**: 15.12 Å³ per atom
**ΔH_f (0 K)**: -0.362 eV/atom
**E_tot**: -7.813 eV/atom

Structure (extended XYZ):
```
5
Lattice="4.229 0.000 0.000 0.000 4.229 0.000 0.000 0.000 4.229" Properties=species:S:1:pos:R:3 pbc="T T T"
Ce 0.000 0.000 0.000
Rh 0.000 2.114 2.114
Rh 2.114 2.114 0.000
Rh 2.114 0.000 2.114
C 2.114 2.114 2.114
```


Entry 3:
First-principles (GGA-PBE) data for an optimized crystal structure of ZnP2H6O5, as listed in the Materials Project.

Properties
**MP2020-corrected energy**: -302.7 eV for the cell shown
**Magnetic moment**: 0.000 μB/atom
**Volume**: 10.74 Å³ per atom
**ΔH_f (0 K)**: -1.321 eV/atom
**E_tot**: -5.160 eV/atom

Structure (extended XYZ):
```
56
Lattice="7.501 0.000 0.000 0.000 7.818 0.000 0.000 2.619 10.260" Properties=species:S:1:pos:R:3 pbc="T T T"
Zn 4.046 7.883 6.189
Zn 0.295 3.863 9.202
Zn 3.455 2.554 4.071
Zn 7.205 6.573 1.059
P 6.572 5.954 7.053
P 2.821 5.792 8.337
P 0.929 4.483 3.207
P 4.679 4.644 1.923
P 5.145 9.730 8.673
P 1.395 2.016 6.717
P 2.356 0.706 1.587
P 6.106 8.421 3.543
H 2.570 5.860 4.774
H 6.321 3.267 0.356
H 4.930 4.576 5.486
H 1.180 7.170 9.904
H 2.393 7.292 4.138
H 6.143 1.835 0.992
H 5.108 3.144 6.122
H 1.357 8.601 9.268
H 0.169 6.336 6.234
H 3.919 5.410 9.156
H 7.332 4.100 4.026
H 3.581 5.027 1.104
H 6.628 6.848 8.147
H 2.877 4.898 7.243
H 0.873 3.588 2.113
H 4.623 5.539 3.017
H 4.400 3.111 8.563
H 0.650 8.635 6.827
H 3.101 7.325 1.697
H 6.851 1.802 3.433
H 4.321 8.878 9.441
H 0.571 2.868 5.949
H 3.179 1.558 0.819
H 6.930 7.569 4.311
O 5.278 6.191 6.250
O 1.527 5.555 9.140
O 2.223 4.245 4.010
O 5.973 4.882 1.120
O 6.751 4.516 7.526
O 3.001 7.230 7.864
O 0.749 5.920 2.734
O 4.500 3.207 2.396
O 5.352 9.148 7.271
O 1.601 2.598 8.119
O 2.149 1.289 2.989
O 5.899 7.838 2.141
O 6.419 10.016 9.486
O 2.669 1.730 5.904
O 1.082 0.420 0.774
O 4.832 8.707 4.356
O 2.636 6.830 4.970
O 6.386 2.297 0.160
O 4.865 3.606 5.290
O 1.115 8.139 10.100
```


Entry 4:
First-principles (GGA-PBE) data for an optimized crystal structure of NaEuO2, as listed in the Materials Project.

Properties
**MP2020-corrected energy**: -64.0 eV for the cell shown
**Volume**: 14.86 Å³ per atom
**ΔH_f (0 K)**: -2.636 eV/atom
**E_tot**: -7.661 eV/atom

Structure (extended XYZ):
```
8
Lattice="5.614 0.297 2.805 3.190 5.346 -0.848 -5.835 -1.533 1.753" Properties=species:S:1:pos:R:3 pbc="T T T"
Na 4.402 2.821 0.979
Na 0.879 3.317 0.942
Eu 2.090 0.793 2.768
Eu 0.000 0.000 0.000
O 0.155 -0.448 2.338
O 1.935 1.240 0.430
O 6.869 4.402 1.527
O 4.026 2.033 3.199
```


Repeat the first record exactly.
First-principles (GGA-PBE) data for an optimized crystal structure of ZnSiAsP, as listed in the Materials Project.

Properties
**Magnetic moment**: 0.000 μB/atom
**Volume**: 20.68 Å³ per atom
**ΔH_f (0 K)**: -0.245 eV/atom
**E_tot**: -4.434 eV/atom

Structure (extended XYZ):
```
8
Lattice="5.555 0.000 0.000 0.000 5.525 0.000 2.778 2.763 5.390" Properties=species:S:1:pos:R:3 pbc="T T T"
Zn 5.555 2.763 2.636
Zn 5.555 5.525 0.059
Si 2.778 5.525 2.636
Si 2.778 2.763 0.059
As 4.166 6.837 4.042
As 6.944 4.214 4.042
P 1.495 1.381 1.347
P 4.060 4.144 1.347
```